Entry 1:
A plane-wave DFT calculation with PBE was carried out for an optimized crystal structure of K2CdB4H16.

Cell lengths 7.8319, 10.4502, 14.8456 Å; angles 90.00, 113.34, 90.00 degrees
Sites, in units of the cell vectors:
K 0.1325 0.0770 0.3381
K 0.1325 0.4230 0.8381
K 0.2459 0.6128 0.4920
K 0.2459 0.8872 0.9920
K 0.7541 0.1128 0.0080
K 0.7541 0.3872 0.5080
K 0.8675 0.5770 0.1619
K 0.8675 0.9230 0.6619
Cd 0.3897 0.1585 0.6858
Cd 0.3897 0.3415 0.1858
Cd 0.6103 0.6585 0.8142
Cd 0.6103 0.8415 0.3142
B 0.1625 0.1587 0.0895
B 0.1625 0.3413 0.5895
B 0.2684 0.6968 0.7808
B 0.2684 0.8032 0.2808
B 0.3088 0.5308 0.0665
B 0.3088 0.9692 0.5665
B 0.3233 0.1038 0.8406
B 0.3233 0.3962 0.3406
B 0.6767 0.6038 0.6594
B 0.6767 0.8962 0.1594
B 0.6912 0.0308 0.4335
B 0.6912 0.4692 0.9335
B 0.7316 0.1968 0.7192
B 0.7316 0.3032 0.2192
B 0.8375 0.6587 0.4105
B 0.8375 0.8413 0.9105
H 0.0854 0.2431 0.5998
H 0.0854 0.2569 0.0998
H 0.1151 0.0689 0.1273
H 0.1151 0.4311 0.6273
H 0.1230 0.1430 0.0021
H 0.1230 0.3570 0.5021
H 0.1569 0.6169 0.7344
H 0.1569 0.8831 0.2344
H 0.1722 0.5959 0.0210
H 0.1722 0.9041 0.5210
H 0.1971 0.7091 0.3005
H 0.1971 0.7909 0.8005
H 0.2029 0.0244 0.8294
H 0.2029 0.4756 0.3294
H 0.2455 0.1893 0.7796
H 0.2455 0.3107 0.2796
H 0.2929 0.0743 0.5263
H 0.2929 0.4257 0.0263
H 0.3037 0.5240 0.1500
H 0.3037 0.9760 0.6500
H 0.3359 0.1600 0.1297
H 0.3359 0.3400 0.6297
H 0.3452 0.7370 0.7267
H 0.3452 0.7630 0.2267
H 0.3762 0.6515 0.8603
H 0.3762 0.8485 0.3603
H 0.3832 0.1550 0.9208
H 0.3832 0.3450 0.4208
H 0.4516 0.0490 0.8273
H 0.4516 0.4510 0.3273
H 0.4556 0.5798 0.0758
H 0.4556 0.9202 0.5758
H 0.5444 0.0798 0.4242
H 0.5444 0.4202 0.9242
H 0.5484 0.5490 0.6727
H 0.5484 0.9510 0.1727
H 0.6168 0.6550 0.5792
H 0.6168 0.8450 0.0792
H 0.6238 0.1515 0.6397
H 0.6238 0.3485 0.1397
H 0.6548 0.2370 0.7733
H 0.6548 0.2630 0.2733
H 0.6641 0.6600 0.3703
H 0.6641 0.8400 0.8703
H 0.6963 0.0240 0.3500
H 0.6963 0.4760 0.8500
H 0.7071 0.5743 0.9737
H 0.7071 0.9257 0.4737
H 0.7545 0.6893 0.7204
H 0.7545 0.8107 0.2204
H 0.7971 0.5244 0.6706
H 0.7971 0.9756 0.1706
H 0.8029 0.2091 0.1995
H 0.8029 0.2909 0.6995
H 0.8278 0.0959 0.4790
H 0.8278 0.4041 0.9790
H 0.8431 0.1169 0.7656
H 0.8431 0.3831 0.2656
H 0.8770 0.6430 0.4979
H 0.8770 0.8570 0.9979
H 0.8849 0.5689 0.3727
H 0.8849 0.9311 0.8727
H 0.9146 0.7431 0.9002
H 0.9146 0.7569 0.4002

Results
Uncorrected energy ... -355.00 eV for the cell shown

=====

Entry 2:
A plane-wave DFT calculation with PBE was carried out for an optimized crystal structure of PrNdHg2.

Cell lengths 5.4578, 5.4578, 5.4578 Å; angles 60.00, 60.00, 60.00 degrees
Sites, in units of the cell vectors:
Pr 0.0000 0.0000 0.0000
Nd 0.5000 0.5000 0.5000
Hg 0.2500 0.2500 0.2500
Hg 0.7500 0.7500 0.7500

Results
Uncorrected energy ... -12.03 eV for the cell shown

=====

| no. | formation energy from the elements (eV/atom) |
| --- | --- |
| 1 | -0.32 |
| 2 | -0.47 |